# CeIr5

A geometry-optimized CeIr5 structure (PBE, the Materials Project database).

Structure (POSCAR):
```
CeIr5
1.0
5.3085 0.0000 0.0000
-2.6542 4.5973 0.0000
0.0000 0.0000 4.3552
Ce Ir
1 5
Direct
0.0000 0.0000 0.0000
0.0000 0.5000 0.5000
0.3333 0.6667 0.0000
0.5000 0.0000 0.5000
0.5000 0.5000 0.5000
0.6667 0.3333 0.0000
```

## Properties
As for the formation enthalpy at 0 K: -0.367 eV per atom. Its symmetry is P6/mmm. The energy comes out at -8.72 eV per atom.

***

# Na3Sr3AlP4

A geometry-optimized Na3Sr3AlP4 structure (PBE, the Materials Project database).

Structure (POSCAR):
```
Na3Sr3AlP4
1.0
9.4370 0.0000 0.0000
-4.7185 8.1727 0.0000
0.0000 0.0000 7.3984
Na Sr Al P
6 6 2 8
Direct
0.1359 0.2719 0.0000
0.1359 0.8641 0.0000
0.2719 0.1359 0.5000
0.7281 0.8641 0.0000
0.8641 0.1359 0.5000
0.8641 0.7281 0.5000
0.0482 0.5241 0.3284
0.4759 0.5241 0.3284
0.4759 0.9518 0.3284
0.5241 0.0482 0.8284
0.5241 0.4759 0.8284
0.9518 0.4759 0.8284
0.3333 0.6667 0.7035
0.6667 0.3333 0.2035
0.1918 0.3837 0.6085
0.1918 0.8082 0.6085
0.3333 0.6667 0.0395
0.3837 0.1918 0.1085
0.6163 0.8082 0.6085
0.6667 0.3333 0.5395
0.8082 0.1918 0.1085
0.8082 0.6163 0.1085
```

## Properties
As for the formation enthalpy at 0 K: -0.826 eV per atom. The value obtained for the maximum piezoelectric response is 0.31 C/m². Its symmetry is P6_3mc. The energy comes out at -3.96 eV per atom.

***

# KLi2AlSi4O10F2

A geometry-optimized KLi2AlSi4O10F2 structure (PBE, the Materials Project database).

Structure (POSCAR):
```
KLi2AlSi4O10F2
1.0
6.3496 0.0000 0.0000
-3.0990 6.3531 0.0000
-1.3574 -1.3833 33.1671
K Li Al Si O F
5 10 5 20 50 10
Direct
0.0000 0.0000 0.0000
0.0128 0.4465 0.5978
0.1472 0.7749 0.8159
0.8528 0.2251 0.1841
0.9872 0.5535 0.4022
0.0781 0.7639 0.3088
0.0978 0.1714 0.8792
0.1626 0.5604 0.0272
0.2682 0.3360 0.2528
0.4649 0.1134 0.4268
0.5351 0.8866 0.5732
0.7318 0.6640 0.7472
0.8374 0.4396 0.9728
0.9022 0.8286 0.1208
0.9219 0.2361 0.6912
0.0000 0.0000 0.5000
0.2712 0.3523 0.1161
0.4954 0.2007 0.3367
0.5046 0.7993 0.6633
0.7288 0.6477 0.8839
0.0728 0.9266 0.6710
0.2628 0.6986 0.9263
0.3062 0.9323 0.2127
0.3423 0.5028 0.4857
0.3863 0.4336 0.9648
0.3882 0.1767 0.5779
0.4264 0.6572 0.1677
0.4382 0.4005 0.6618
0.4576 0.0263 0.9637
0.4708 0.8315 0.2744
0.5292 0.1685 0.7256
0.5424 0.9737 0.0363
0.5618 0.5995 0.3382
0.5736 0.3428 0.8323
0.6118 0.8233 0.4221
0.6137 0.5664 0.0352
0.6577 0.4972 0.5143
0.6938 0.0677 0.7873
0.7372 0.3014 0.0737
0.9272 0.0734 0.3290
0.0186 0.6496 0.9008
0.1561 0.1062 0.5447
0.1844 0.1017 0.2128
0.1905 0.2026 0.6764
0.1924 0.0748 0.3453
0.1960 0.5616 0.9678
0.1999 0.7995 0.2576
0.2202 0.7440 0.1763
0.2275 0.9565 0.6181
0.3068 0.9285 0.0068
0.3357 0.1740 0.8486
0.3427 0.3691 0.0156
0.3485 0.8162 0.6165
0.3626 0.2649 0.4597
0.3660 0.6670 0.4498
0.3658 0.6758 0.3187
0.3766 0.6683 0.5310
0.3782 0.9456 0.6921
0.3892 0.1595 0.1841
0.4068 0.3652 0.6105
0.4277 0.0188 0.7672
0.4308 0.5352 0.2119
0.4475 0.5911 0.9128
0.4697 0.3747 0.7436
0.4841 0.7345 0.0502
0.5159 0.2655 0.9498
0.5303 0.6253 0.2564
0.5525 0.4089 0.0872
0.5692 0.4648 0.7881
0.5723 0.9812 0.2328
0.5932 0.6348 0.3895
0.6108 0.8405 0.8159
0.6218 0.0544 0.3079
0.6234 0.3317 0.4690
0.6342 0.3242 0.6813
0.6340 0.3330 0.5502
0.6374 0.7351 0.5403
0.6515 0.1838 0.3835
0.6573 0.6309 0.9844
0.6643 0.8260 0.1514
0.6932 0.0715 0.9932
0.7725 0.0435 0.3819
0.7798 0.2560 0.8237
0.8001 0.2005 0.7424
0.8040 0.4384 0.0322
0.8076 0.9252 0.6547
0.8095 0.7974 0.3236
0.8156 0.8983 0.7872
0.8439 0.8938 0.4553
0.9814 0.3504 0.0992
0.0058 0.3313 0.3394
0.0118 0.1272 0.2809
0.0517 0.3277 0.4882
0.1344 0.2320 0.9396
0.1614 0.0830 0.1107
0.8386 0.9170 0.8893
0.8656 0.7680 0.0604
0.9483 0.6723 0.5118
0.9882 0.8728 0.7191
0.9942 0.6687 0.6606
```

## Properties
As for the formation enthalpy at 0 K: -2.312 eV per atom. Its symmetry is P-1. The energy comes out at -6.22 eV per atom. The calculation puts the corrected total energy (MP2020 scheme) at -6.50 eV per atom.

***

# Al2O3

A geometry-optimized Al2O3 structure (PBE, the Materials Project database).

Structure (POSCAR):
```
Al2O3
1.0
2.4979 -4.3265 0.0000
2.4979 4.3265 0.0000
0.0000 0.0000 9.3368
Al O
6 9
Direct
0.0000 0.0000 0.1500
0.3333 0.6667 0.8502
0.6667 0.3333 0.1498
0.0000 0.0000 0.8500
0.6667 0.3333 0.8499
0.3333 0.6667 0.1501
0.6667 0.0001 0.2223
0.9999 0.6666 0.2223
0.0000 0.3333 0.0000
0.3333 0.3334 0.7777
0.6667 0.6667 0.0000
0.6666 0.9999 0.7777
0.3333 0.0000 0.0000
0.0001 0.6667 0.7777
0.3334 0.3333 0.2223
```

## Properties
As for the formation enthalpy at 0 K: -3.229 eV per atom. The energy comes out at -7.28 eV per atom. The calculation puts the corrected total energy (MP2020 scheme) at -7.70 eV per atom.